Density functional theory data (r2SCAN) for an optimized crystal structure of AlRe2.

Output
The energy is -225.04 eV per cell. Its space group is I4/mmm, No. 139.

```
6
Lattice="2.994 0.000 0.000 0.000 2.994 0.000 0.000 0.000 9.540" Properties=species:S:1:pos:R:3 pbc="T T T"
Al 0.000 0.000 0.000
Al 1.497 1.497 4.770
Re 0.000 0.000 3.158
Re 0.000 0.000 6.382
Re 1.497 1.497 1.612
Re 1.497 1.497 7.928
```